1.
Here is crystalline CeSCl at its relaxed geometry from the Materials Project database. Energies are from meta-GGA r2SCAN.

extended XYZ file:
```
24
Lattice="6.880 0.000 0.000 0.000 6.991 0.000 0.000 0.000 13.568" Properties=species:S:1:pos:R:3 pbc="T T T"
Ce 1.782 6.749 12.219
Ce 5.098 0.242 1.348
Ce 1.658 3.253 1.348
Ce 5.098 3.738 5.436
Ce 5.222 3.738 12.219
Ce 1.782 3.253 8.132
Ce 5.222 0.242 8.132
Ce 1.658 6.749 5.436
S 6.876 5.194 7.105
S 0.005 1.798 6.463
S 3.445 1.698 6.463
S 0.005 5.293 0.321
S 3.436 5.293 7.105
S 6.876 1.698 13.247
S 3.436 1.798 13.247
S 3.445 5.194 0.321
Cl 0.914 4.356 10.683
Cl 5.966 2.635 2.884
Cl 2.526 0.861 2.884
Cl 5.966 6.131 3.899
Cl 4.355 6.131 10.683
Cl 0.914 0.861 9.668
Cl 4.355 2.635 9.668
Cl 2.526 4.356 3.899
```

---

2.
Here is crystalline CeCo3 at its relaxed geometry from the Materials Project database. Energies are from meta-GGA r2SCAN.

extended XYZ file:
```
12
Lattice="4.786 0.090 7.656 2.264 4.217 7.656 0.148 0.090 9.027" Properties=species:S:1:pos:R:3 pbc="T T T"
Ce 6.198 3.787 20.961
Ce 0.999 0.610 3.377
Ce 0.000 0.000 0.000
Co 2.383 1.456 8.060
Co 3.111 1.901 14.742
Co 4.086 2.497 9.597
Co 4.814 2.941 16.278
Co 3.039 0.454 10.276
Co 5.407 1.901 14.063
Co 4.159 3.944 14.063
Co 3.599 2.199 12.169
Co 1.790 2.497 10.276
```

---

3.
Here is crystalline CeCo5 at its relaxed geometry from the Materials Project database. Energies are from meta-GGA r2SCAN.

extended XYZ file:
```
6
Lattice="4.880 0.000 0.000 -2.440 4.226 0.000 0.000 0.000 4.023" Properties=species:S:1:pos:R:3 pbc="T T T"
Ce 0.000 0.000 0.000
Co -1.220 2.113 2.011
Co 0.000 2.817 0.000
Co 2.440 1.409 0.000
Co 2.440 0.000 2.011
Co 1.220 2.113 2.011
```

---

4.
Here is crystalline CeGa2Co3 at its relaxed geometry from the Materials Project database. Energies are from meta-GGA r2SCAN.

extended XYZ file:
```
18
Lattice="0.000 0.000 -4.073 -8.852 -0.015 0.000 -4.413 7.673 0.000" Properties=species:S:1:pos:R:3 pbc="T T T"
Ce -4.418 2.543 -2.037
Ce -8.854 5.104 -2.037
Ce -8.848 -0.007 0.000
Ga -6.640 3.817 0.000
Ga -8.825 7.662 0.000
Ga -2.217 3.847 0.000
Ga -5.663 5.508 -2.037
Ga -10.765 7.661 -2.037
Ga -1.248 2.167 -2.037
Co -2.346 1.327 0.000
Co -4.399 4.994 0.000
Co -6.536 1.351 0.000
Co -10.943 6.290 0.000
Co -6.741 6.345 0.000
Co -8.827 2.674 0.000
Co -7.551 2.238 -2.037
Co -7.000 7.666 -2.037
Co -3.126 5.429 -2.037
```

---

5.
Here is crystalline CeCoGe2 at its relaxed geometry from the Materials Project database. Energies are from meta-GGA r2SCAN.

extended XYZ file:
```
8
Lattice="2.084 -8.304 0.000 2.084 8.304 0.000 0.000 0.000 4.156" Properties=species:S:1:pos:R:3 pbc="T T T"
Ce 2.084 -6.452 1.039
Ce 2.084 6.452 3.117
Co 2.084 -2.998 1.039
Co 2.084 2.998 3.117
Ge 2.084 -0.724 1.039
Ge 2.084 0.724 3.117
Ge 2.084 4.155 1.039
Ge 2.084 -4.155 3.117
```

---

6.
Here is crystalline CeCoGeH at its relaxed geometry from the Materials Project database. Energies are from meta-GGA r2SCAN.

extended XYZ file:
```
8
Lattice="4.074 0.000 0.000 0.000 4.074 0.000 0.000 0.000 7.217" Properties=species:S:1:pos:R:3 pbc="T T T"
Ce 2.037 0.000 2.327
Ce 0.000 2.037 4.890
Co 2.037 2.037 0.000
Co 0.000 0.000 0.000
Ge 2.037 0.000 6.031
Ge 0.000 2.037 1.187
H 0.000 0.000 3.609
H 2.037 2.037 3.609
```

---

7.
Here is crystalline Ce2In8Co at its relaxed geometry from the Materials Project database. Energies are from meta-GGA r2SCAN.

extended XYZ file:
```
11
Lattice="4.656 0.000 0.000 0.000 4.656 0.000 0.000 0.000 12.221" Properties=species:S:1:pos:R:3 pbc="T T T"
Ce 0.000 0.000 8.492
Ce 0.000 0.000 3.730
In 2.328 0.000 6.111
In 2.328 0.000 10.796
In 0.000 2.328 6.111
In 0.000 2.328 10.796
In 2.328 2.328 3.742
In 2.328 2.328 8.479
In 0.000 2.328 1.426
In 2.328 0.000 1.426
Co 0.000 0.000 0.000
```

---

8.
Here is crystalline CeCoSb3 at its relaxed geometry from the Materials Project database. Energies are from meta-GGA r2SCAN.

extended XYZ file:
```
40
Lattice="-0.183 6.113 0.854 -12.105 -0.408 0.318 0.392 -1.766 12.663" Properties=species:S:1:pos:R:3 pbc="T T T"
Ce -2.946 0.746 4.095
Ce -8.943 3.192 9.739
Ce -6.076 3.848 4.571
Ce -5.823 0.085 9.244
Ce -2.902 3.105 9.534
Ce -9.027 0.833 4.302
Ce -12.124 3.649 4.750
Ce 0.226 0.294 9.106
Co -10.211 1.356 12.167
Co -4.460 2.489 1.741
Co -7.435 1.441 12.119
Co -1.686 2.591 1.643
Co -1.460 4.223 12.304
Co -10.430 -0.267 1.519
Co -7.659 -0.191 1.458
Co -4.229 4.113 12.388
Sb -9.121 1.963 1.268
Sb -8.818 -0.049 10.438
Sb -3.022 0.492 0.878
Sb 0.167 3.206 10.543
Sb -10.410 -1.155 6.597
Sb -9.140 4.022 3.581
Sb -2.763 -0.083 10.254
Sb -6.178 4.329 1.150
Sb -3.075 3.988 3.397
Sb -1.398 2.038 6.760
Sb -5.886 2.997 10.700
Sb -1.491 5.094 7.251
Sb -2.761 1.976 12.567
Sb -8.868 3.447 12.957
Sb -6.014 0.936 3.134
Sb -11.769 -0.595 12.844
Sb -7.367 -1.053 6.505
Sb -4.437 1.946 6.825
Sb 0.037 1.145 2.976
Sb -12.230 4.133 1.306
Sb -7.454 2.002 6.995
Sb -4.535 4.991 7.318
Sb -5.715 -0.398 12.688
Sb -10.491 1.890 7.089
```

---

9.
Here is crystalline CeCo2Si2 at its relaxed geometry from the Materials Project database. Energies are from meta-GGA r2SCAN.

extended XYZ file:
```
5
Lattice="-1.714 -3.529 0.822 3.457 -1.319 1.543 -2.159 4.045 3.090" Properties=species:S:1:pos:R:3 pbc="T T T"
Ce 0.000 0.000 0.000
Co 1.084 0.151 2.907
Co -1.501 -0.954 2.547
Si 0.523 -1.986 2.337
Si -0.940 1.183 3.117
```

---

10.
Here is crystalline CeCoSi2 at its relaxed geometry from the Materials Project database. Energies are from meta-GGA r2SCAN.

extended XYZ file:
```
8
Lattice="4.002 0.000 0.000 0.000 3.930 -0.981 0.000 0.017 8.429" Properties=species:S:1:pos:R:3 pbc="T T T"
Ce 1.001 3.512 5.707
Ce 3.002 0.435 1.741
Co 3.002 1.274 5.105
Co 1.001 2.672 2.342
Si 1.001 0.989 3.963
Si 3.002 2.957 3.485
Si 3.002 1.819 7.288
Si 1.001 2.127 0.160
```

---

11.
Here is crystalline CeYCo17 at its relaxed geometry from the Materials Project database. Energies are from meta-GGA r2SCAN.

extended XYZ file:
```
19
Lattice="4.690 -4.130 0.013 4.690 4.130 0.013 1.037 0.000 6.163" Properties=species:S:1:pos:R:3 pbc="T T T"
Ce 6.798 0.000 4.038
Y 3.579 0.000 2.126
Co 5.741 -1.759 6.169
Co 8.336 -1.175 1.801
Co 6.780 2.933 4.420
Co 6.780 -2.933 4.420
Co 8.336 1.175 1.801
Co 5.741 1.759 6.169
Co 4.119 0.000 5.222
Co 5.947 -2.066 2.145
Co 5.947 2.066 2.145
Co 6.297 0.000 0.896
Co 4.424 2.118 4.050
Co 4.424 -2.118 4.050
Co 0.563 0.000 3.070
Co 2.365 -2.037 0.037
Co 2.365 2.037 0.037
Co 9.426 0.000 5.599
Co 0.992 0.000 0.589
```

---

12.
Here is crystalline Cs2CeO3 at its relaxed geometry from the Materials Project database. Energies are from meta-GGA r2SCAN.

extended XYZ file:
```
12
Lattice="5.774 3.859 0.000 -5.774 3.859 0.000 0.000 0.000 6.484" Properties=species:S:1:pos:R:3 pbc="T T T"
Cs -1.911 4.961 1.670
Cs -1.911 2.758 4.912
Cs 1.911 2.758 4.912
Cs 1.911 4.961 1.670
Ce 0.000 0.714 1.535
Ce 0.000 7.004 4.777
O -4.379 3.949 3.203
O -4.379 3.769 6.445
O 0.000 4.992 4.487
O 0.000 2.727 1.245
O 4.379 3.769 6.445
O 4.379 3.949 3.203
```

---

13.
Here is crystalline CeCu5 at its relaxed geometry from the Materials Project database. Energies are from meta-GGA r2SCAN.

extended XYZ file:
```
6
Lattice="0.548 2.962 -4.069 -4.579 -1.758 1.253 -0.631 3.289 2.310" Properties=species:S:1:pos:R:3 pbc="T T T"
Ce 0.000 0.000 0.000
Cu -2.605 0.766 1.781
Cu -2.870 -0.185 -0.521
Cu -1.161 1.389 -2.295
Cu -0.041 3.126 -0.880
Cu -2.331 2.247 -0.253
```

---

14.
Here is crystalline CeCu2 at its relaxed geometry from the Materials Project database. Energies are from meta-GGA r2SCAN.

extended XYZ file:
```
6
Lattice="4.020 0.000 1.730 1.822 4.968 1.302 0.038 0.189 5.446" Properties=species:S:1:pos:R:3 pbc="T T T"
Ce 3.432 3.664 3.097
Ce 2.448 1.493 5.381
Cu 4.647 3.588 5.807
Cu 1.233 1.569 2.670
Cu 3.604 0.707 2.697
Cu 2.276 4.450 5.781
```

---

15.
Here is crystalline CeGa3Cu at its relaxed geometry from the Materials Project database. Energies are from meta-GGA r2SCAN.

extended XYZ file:
```
5
Lattice="2.181 -1.820 5.313 -2.826 1.367 5.142 -1.263 -2.275 -5.434" Properties=species:S:1:pos:R:3 pbc="T T T"
Ce 0.000 0.000 0.000
Ga -0.399 -0.280 6.464
Ga -0.246 -0.173 3.991
Ga 0.298 -2.161 2.553
Cu -2.206 -0.567 2.468
```

---

16.
Here is crystalline CeGa2Cu3 at its relaxed geometry from the Materials Project database. Energies are from meta-GGA r2SCAN.

extended XYZ file:
```
6
Lattice="2.639 -4.422 0.000 2.639 4.422 0.000 0.000 0.000 4.145" Properties=species:S:1:pos:R:3 pbc="T T T"
Ce 2.639 0.000 0.000
Ga 1.320 2.211 2.072
Ga 1.320 -2.211 2.072
Cu 2.639 3.006 0.000
Cu 2.639 -3.006 0.000
Cu 0.000 0.000 2.072
```

---

17.
Here is crystalline CeCu2Ge2 at its relaxed geometry from the Materials Project database. Energies are from meta-GGA r2SCAN.

extended XYZ file:
```
5
Lattice="-2.960 -2.082 2.046 -1.314 -1.651 -3.581 5.311 -2.027 1.398" Properties=species:S:1:pos:R:3 pbc="T T T"
Ce 0.000 0.000 0.000
Cu 0.107 -2.988 1.338
Cu 0.930 -2.772 -1.476
Ge -1.351 -2.830 -0.612
Ge 2.389 -2.930 0.474
```

---

18.
Here is crystalline CeCuPb at its relaxed geometry from the Materials Project database. Energies are from meta-GGA r2SCAN.

extended XYZ file:
```
6
Lattice="2.331 -4.037 0.000 2.331 4.037 0.000 0.000 0.000 7.767" Properties=species:S:1:pos:R:3 pbc="T T T"
Ce 0.000 0.000 0.074
Ce 0.000 0.000 3.958
Cu 2.331 -1.346 2.551
Cu 2.331 1.346 6.427
Pb 2.331 -1.346 5.776
Pb 2.331 1.346 1.894
```

---

19.
Here is crystalline CeCuSe2 at its relaxed geometry from the Materials Project database. Energies are from meta-GGA r2SCAN.

extended XYZ file:
```
16
Lattice="-5.757 2.041 -4.397 -4.218 -3.735 3.789 -1.771 5.154 4.710" Properties=species:S:1:pos:R:3 pbc="T T T"
Ce -4.996 1.516 0.175
Ce -3.548 -1.455 3.342
Ce -6.750 1.943 3.928
Ce -8.197 4.914 0.761
Cu -9.749 1.021 2.414
Cu -1.997 2.438 1.689
Cu -7.824 -1.924 0.853
Cu -3.922 5.383 3.250
Se -6.665 -0.715 -0.937
Se -7.845 1.966 1.193
Se -3.901 1.493 2.910
Se -5.081 4.174 5.040
Se -5.206 4.612 1.052
Se -5.856 0.867 6.605
Se -6.540 -1.153 3.052
Se -5.890 2.592 -2.502
```

---

20.
Here is crystalline CeCu5Sn at its relaxed geometry from the Materials Project database. Energies are from meta-GGA r2SCAN.

extended XYZ file:
```
28
Lattice="-3.782 -0.705 3.257 -2.274 -6.807 -4.115 6.368 -5.834 6.132" Properties=species:S:1:pos:R:3 pbc="T T T"
Ce 2.577 -7.759 7.163
Ce -2.265 -5.588 -1.890
Ce -0.996 -8.931 2.760
Ce 1.308 -4.416 2.513
Cu -3.079 -6.401 2.836
Cu -1.191 -6.049 1.210
Cu 1.504 -7.297 4.064
Cu -3.155 -7.518 0.559
Cu 3.467 -5.829 4.715
Cu 3.745 -8.354 4.490
Cu -2.746 -2.262 4.119
Cu 5.134 -6.471 6.511
Cu 1.170 -11.437 2.780
Cu -0.482 -3.250 4.587
Cu -4.822 -6.876 -1.237
Cu 1.020 -7.147 1.587
Cu 3.392 -6.945 2.438
Cu -1.921 -4.203 2.710
Cu -0.707 -6.200 3.687
Cu -3.433 -4.992 0.784
Cu -0.858 -1.910 2.494
Cu 0.794 -10.096 0.686
Cu 2.233 -9.143 2.564
Cu 3.058 -11.085 1.154
Sn -0.604 -8.134 -0.512
Sn -0.877 -3.438 0.187
Sn 0.916 -5.212 5.786
Sn 1.189 -9.908 5.086
```

---

Across the entries above, ΔE_f takes the values -2498; -66; -36; -318; -630; -630; -409; -597; -710; -734; -56; -2539; -104; -111; -528; -383; -550; -396; -1481; -244 meV per atom, respectively.